{"formula": "SrErAl3SiN4O3", "functional": "GGA-PBE", "state": "relaxed", "vol_a3_per_cell": 325.9, "dft_energy_ev_per_atom": -7.5526, "sg": "P6_3mc, No. 186", "magnetic_moment_mub_per_cell": 0.00, "formation_energy_ev_per_atom": -2.2412, "lattice_angstrom": [[-4.3211, -1.6357, -3.9765], [1.2586, -3.5743, 4.7750], [-6.9305, 4.9181, 5.5081]], "species": ["O", "Al", "Er", "Si", "Si", "Sr", "O", "Al", "Al", "Al", "N", "N", "N", "O", "N", "O", "Sr", "O", "Al", "N", "N", "O", "N", "N", "Er", "Al"], "frac_coords": [[0.0190, 0.5095, 0.7930], [0.3307, 0.1653, 0.2381], [0.3333, 0.6667, 0.4370], [0.0000, 0.0000, 0.5004], [0.0000, 0.0000, 0.0004], [0.3333, 0.6667, 0.0576], [0.4905, 0.5095, 0.7930], [0.1653, 0.8347, 0.7381], [0.8347, 0.6693, 0.2381], [0.1653, 0.3307, 0.7381], [0.0000, 0.0000, 0.3194], [0.8454, 0.1546, 0.0569], [0.1546, 0.8454, 0.5569], [0.5095, 0.0190, 0.2930], [0.1546, 0.3091, 0.5569], [0.5095, 0.4905, 0.2930], [0.6667, 0.3333, 0.5576], [0.4905, 0.9810, 0.7930], [0.8347, 0.1653, 0.2381], [0.8454, 0.6909, 0.0569], [0.3091, 0.1546, 0.0569], [0.9810, 0.4905, 0.2930], [0.6909, 0.8454, 0.5569], [0.0000, 0.0000, 0.8194], [0.6667, 0.3333, 0.9370], [0.6693, 0.8347, 0.7381]]}